This record from Materials Project describes Nd2MgTi2S2O5 after structural relaxation. The functional is GGA-PBE.

Properties
Uncorrected energy ... -7.583 eV/atom
E_form ... -2.958 eV per atom

Cell lengths 3.8668, 3.8668, 28.0084 Å; angles 90.00, 90.00, 90.00 degrees
Space group I-4m2 (No. 119)
Inequivalent atoms, fractional coordinates:
Nd 0.0000 0.0000 0.1366 (multiplicity 4)
Mg 0.0000 0.5000 0.7500 (multiplicity 2)
Ti 0.0000 0.0000 0.4351 (multiplicity 4)
S 0.0000 0.0000 0.3067 (multiplicity 4)
O 0.0000 0.0000 0.5000 (multiplicity 2)
O 0.0000 0.5000 0.0890 (multiplicity 4)
O 0.0000 0.5000 0.5896 (multiplicity 4)

This record from Materials Project describes NdMg2TaO6 after structural relaxation. The functional is GGA-PBE.

Properties
Uncorrected energy ... -7.715 eV/atom
E_form ... -3.176 eV per atom

Cell lengths 6.7496, 7.6102, 10.4773 Å; angles 90.00, 90.00, 90.00 degrees
Space group Imma (No. 74)
Inequivalent atoms, fractional coordinates:
Nd 0.0000 0.0000 0.0000 (multiplicity 4)
Mg 0.2500 0.2500 0.2500 (multiplicity 4)
Mg 0.2500 0.2500 0.7500 (multiplicity 4)
Ta 0.0000 0.0000 0.5000 (multiplicity 4)
O 0.0000 0.2500 0.1384 (multiplicity 4)
O 0.0000 0.2500 0.4191 (multiplicity 4)
O 0.2149 0.0665 0.6202 (multiplicity 16)

| no. | volume (A^3/atom) | magnetic moment (μB/f.u.) |
| --- | --- | --- |
| 1 | 17.45 | 1.75 |
| 2 | 13.45 | 0.00 |